DFT (GGA-PBE) results for crystalline PRuS at its relaxed geometry.

Cell and atoms, written as POSCAR:
```
PRuS
1.0
-4.045 1.526 -3.863
2.612 -3.227 -4.011
-2.103 -5.449 0.049
P Ru S
4 4 4
Cartesian
-0.110 -7.311 -3.836
-3.442 -2.954 -2.976
-3.426 0.161 -3.989
-0.094 -4.196 -4.848
-1.783 -5.904 -4.794
-4.806 -3.215 -4.917
-1.753 -1.246 -3.030
1.271 -3.935 -2.908
-3.268 -4.570 -6.023
-2.354 -4.914 -2.765
-0.268 -2.580 -1.802
-1.182 -2.236 -5.059
```

- raw total energy (eV/atom) = -6.8489
- calculated formation energy (meV per atom) = -742
- E (MP2020) (eV per cell) = -84.198